Li4Fe2Si3O10 | PBE with a Hubbard U | optimized geometry

a = 9.2575 Å, b = 5.4291 Å, c = 17.2145 Å
α = 90.00°, β = 99.46°, γ = 90.00°
With the nearest neighbours (Å) after each atom.
Space group C2/c (No. 15)
One atom of each set of equivalent atoms:
Li 0.1856 0.1085 0.2283  3 O 2.00-2.11
Li 0.2452 0.4278 0.4482  4 O 1.92-2.04
Fe 0.1043 0.4076 0.0841  5 O 2.05-2.25
Si 0.0000 0.3857 0.7500  4 O 1.62-1.67
Si 0.0639 0.0968 0.9012  4 O 1.63-1.68
O 0.0683 0.3519 0.9527  1 Si 1.64
O 0.0951 0.1859 0.8122  2 Si 1.67-1.68
O 0.0965 0.0400 0.1097  1 Si 1.64
O 0.1223 0.4594 0.2131  1 Si 1.62
O 0.2015 0.0825 0.4346  1 Si 1.63

Calculated values
Its formation energy is -2.654 eV per atom. The total energy comes out at -6.810 eV/atom. The calculation puts the total magnetization at 8.000 μB per formula unit.

LiFeSiO4 | PBE with a Hubbard U | optimized geometry

a = 11.3599 Å, b = 5.2666 Å, c = 5.9715 Å
α = 90.00°, β = 90.00°, γ = 90.00°
With the nearest neighbours (Å) after each atom.
Space group Pna2_1 (No. 33)
One atom of each set of equivalent atoms:
Li 0.1683 0.1910 0.0000  4 O 1.94-2.12
Fe 0.0762 0.8141 0.7266  4 O 1.89-1.91
Si 0.0858 0.6862 0.2343  4 O 1.65
O 0.0419 0.1666 0.7573  1 Si 1.65
O 0.0645 0.3780 0.2109  1 Si 1.65
O 0.1539 0.7892 0.0088  1 Si 1.65
O 0.1646 0.7469 0.4605  1 Si 1.65

Calculated values
Its formation energy is -2.484 eV per atom. The total energy comes out at -6.854 eV/atom. The calculation puts the total magnetization at 5.000 μB per formula unit. As for the energy above the most stable polymorph in this dataset: 1.22 kcal/mol of atoms.

Li2FeSiO5 | PBE with a Hubbard U | optimized geometry

a = 6.4580 Å, b = 6.4580 Å, c = 8.8791 Å
α = 90.00°, β = 90.00°, γ = 90.00°
With the nearest neighbours (Å) after each atom.
Space group P4mm (No. 99)
One atom of each set of equivalent atoms:
Li 0.2491 0.2491 0.0000  4 O 2.06
Li 0.2492 0.2492 0.4996  4 O 2.05
Fe 0.0000 0.0000 0.2813  5 O 1.85-2.02
Fe 0.0000 0.0000 0.8272  1 O 1.73
Fe 0.5000 0.5000 0.1711  1 O 1.73
Fe 0.5000 0.5000 0.7165  5 O 1.85-2.02
Si 0.0000 0.5000 0.2537  4 O 1.64-1.65
Si 0.0000 0.5000 0.7449  4 O 1.64-1.65
O 0.0000 0.0000 0.0727  1 Fe 1.85
O 0.0000 0.0000 0.6326  1 Fe 1.73
O 0.0000 0.2928 0.3600  1 Si 1.64
O 0.0000 0.3008 0.8608  1 Si 1.65
O 0.1993 0.5000 0.1377  1 Si 1.65
O 0.2071 0.5000 0.6383  1 Si 1.64
O 0.5000 0.5000 0.3655  1 Fe 1.73
O 0.5000 0.5000 0.9251  1 Fe 1.85

Calculated values
Its formation energy is -2.310 eV per atom. The total energy comes out at -6.395 eV/atom. The calculation puts the total magnetization at 4.001 μB per formula unit. As for the energy above the most stable polymorph in this dataset: 0.00 kcal/mol of atoms.